No. 1
## Li4Cr3O8 (GGA+U)

Data for crystalline Li4Cr3O8 at its relaxed geometry.

```
Li4Cr3O8
1.0
2.902 1.676 5.114
-2.902 1.676 5.114
0.000 -3.351 5.114
Li Cr O
4 3 8
Cartesian
0.000 0.000 0.000
0.000 0.000 2.196
0.000 0.000 7.671
0.000 0.000 13.147
-1.453 -0.835 5.114
-1.453 0.835 10.228
0.003 1.676 5.114
0.001 -1.580 6.154
-1.369 0.789 6.154
0.000 0.000 4.061
-1.369 -0.789 9.188
1.368 0.791 6.154
0.000 0.000 11.281
1.368 -0.791 9.188
0.001 1.580 9.188
```

Values from the calculation:
Its total magnetization is 6.00 Bohr magnetons per cell. Its space-group type is R32. As for the formation energy from the elements: -32.62 eV per formula unit.

=====

No. 2
## MgCr3S6O24 (GGA+U)

Data for crystalline MgCr3S6O24 at its relaxed geometry.

```
MgCr3S6O24
1.0
8.408 0.000 0.000
4.204 7.282 0.000
4.204 2.425 7.239
Mg Cr S O
1 3 6 24
Cartesian
0.000 0.000 0.000
4.203 2.424 0.396
8.408 4.851 1.145
12.611 7.278 3.834
5.458 5.195 6.211
7.119 7.582 2.549
10.181 7.233 6.213
6.687 2.368 2.548
9.583 2.122 6.212
11.416 4.600 2.551
5.702 7.036 2.468
5.271 3.742 6.227
3.915 4.068 1.476
6.871 5.542 6.496
7.481 8.075 3.844
2.923 1.350 1.473
9.016 8.122 6.231
6.082 2.434 3.843
8.076 6.481 2.180
6.900 5.375 0.019
9.773 5.835 6.495
5.773 1.851 1.473
7.163 3.747 2.179
8.576 3.173 6.494
10.877 7.223 4.907
7.868 1.412 2.464
9.613 5.895 0.016
13.431 8.807 4.905
9.985 4.322 2.178
8.707 3.286 0.016
10.935 2.687 6.230
11.653 6.101 2.469
11.660 4.040 3.846
13.527 5.803 4.905
```

Values from the calculation:
Its total magnetization is 8.00 Bohr magnetons per cell. Its space-group type is P1. As for the formation energy from the elements: -66.56 eV per formula unit. The value obtained for the distance to the lowest polymorph of the same formula is 72 meV per atom.

=====

No. 3
## TeMoCl7O (GGA+U)

Data for crystalline TeMoCl7O at its relaxed geometry.

```
TeMoCl7O
1.0
7.574 0.000 0.000
0.000 13.070 0.000
-0.953 0.000 12.059
Te Mo Cl O
4 4 28 4
Cartesian
1.350 1.987 4.506
0.874 4.549 10.535
5.748 8.522 1.524
5.271 11.084 7.553
2.812 7.731 7.724
3.288 11.874 1.694
3.333 1.196 10.365
3.810 5.339 4.335
-0.227 1.253 2.913
-0.703 5.282 8.942
7.325 7.788 3.117
6.848 11.817 9.146
-0.250 3.054 5.862
-0.726 3.481 11.891
1.409 0.011 5.800
0.933 6.524 11.830
1.368 1.993 9.196
1.844 4.542 3.166
1.623 6.543 6.011
1.146 13.063 12.041
3.122 9.540 6.151
3.598 10.065 0.121
3.472 7.426 3.156
2.995 12.180 9.186
3.626 0.891 2.873
3.150 5.645 8.903
3.023 3.005 11.938
3.500 3.530 5.908
5.476 0.008 0.018
4.999 6.527 6.048
4.778 8.528 8.893
5.254 11.077 2.863
5.689 6.546 0.229
5.213 13.060 6.259
7.348 9.589 0.168
6.872 10.016 6.197
1.549 8.365 8.655
2.025 11.240 2.625
4.597 1.830 9.434
5.073 4.705 3.404
```

Values from the calculation:
Its total magnetization is 3.89 Bohr magnetons per cell. Its space-group type is P2_1/c. As for the formation energy from the elements: -8.31 eV per formula unit.

=====

No. 4
## Li2VGaO4 (GGA+U)

Data for crystalline Li2VGaO4 at its relaxed geometry.

```
Li2VGaO4
1.0
5.166 0.010 -0.024
2.552 7.445 7.257
2.527 -4.534 7.290
O Li Ga V
24 12 6 6
Cartesian
5.882 4.460 6.066
7.575 4.483 10.912
6.735 -3.016 8.534
1.806 -0.029 1.158
2.673 -1.509 3.604
3.518 -0.080 6.034
3.508 -3.030 6.015
5.211 -0.055 10.880
7.573 1.447 10.946
5.033 -0.009 3.674
5.882 1.428 6.094
3.522 2.959 5.997
4.373 -1.532 8.458
4.346 1.429 8.429
5.211 2.975 10.850
8.422 2.887 13.369
2.671 1.523 3.579
6.723 5.934 8.484
4.383 4.458 8.443
6.709 -0.053 8.502
5.036 3.030 3.637
6.749 2.977 8.514
5.871 -1.530 6.081
3.531 5.912 6.016
6.851 -0.046 4.855
2.557 7.398 7.253
2.544 1.409 7.268
8.560 5.927 9.665
1.703 2.996 4.817
8.548 -0.063 9.683
6.012 1.540 2.405
8.551 2.996 9.676
2.533 -1.521 7.278
2.546 4.467 7.263
1.691 -2.993 4.833
9.390 1.407 12.128
5.985 4.471 9.681
5.122 5.923 7.247
5.971 -1.519 9.700
5.110 -0.066 7.262
4.271 -1.520 4.844
4.284 4.470 4.828
5.118 -3.047 7.281
4.276 1.475 4.835
6.816 2.931 12.110
3.423 0.007 2.407
5.132 2.942 7.265
5.963 1.462 9.681
```

Values from the calculation:
As for the formation energy from the elements: -19.15 eV per formula unit.

=====

No. 5
## Ba2Tl2Ni3O10 (GGA+U)

Data for crystalline Ba2Tl2Ni3O10 at its relaxed geometry.

```
Ba2Tl2Ni3O10
1.0
3.681 0.000 0.000
0.012 3.688 0.000
1.581 1.252 19.683
Ba Tl Ni O
2 2 3 10
Cartesian
0.000 0.000 0.000
1.800 1.806 8.625
1.810 1.829 3.098
3.646 3.666 5.525
3.448 3.101 17.379
3.695 3.270 14.158
3.668 3.651 10.928
1.609 3.100 17.734
1.865 3.274 14.243
1.825 3.647 10.603
1.667 1.821 5.196
1.822 1.837 1.073
3.440 1.258 17.713
3.712 1.427 14.057
3.656 1.805 10.566
3.631 3.654 7.550
3.515 3.666 3.425
```

Values from the calculation:
Its total magnetization is 6.25 Bohr magnetons per cell. Its space-group type is P1. As for the formation energy from the elements: -19.17 eV per formula unit.

=====

No. 6
## Li2Ti2V3O10 (GGA+U)

Data for crystalline Li2Ti2V3O10 at its relaxed geometry.

```
Li2Ti2V3O10
1.0
5.216 0.000 0.000
-0.677 8.385 0.000
-2.124 -3.756 8.877
Li Ti V O
4 4 6 20
Cartesian
-0.688 0.384 2.423
0.429 2.732 6.944
1.986 1.897 1.933
3.103 4.245 6.454
-1.059 3.390 3.566
1.649 7.270 0.854
0.766 -2.641 8.023
3.474 1.239 5.311
-1.062 -1.878 4.438
-1.824 -1.251 7.282
0.905 -0.128 5.966
2.270 4.193 0.000
1.509 4.757 2.911
4.239 5.880 1.595
-0.905 2.934 5.411
-0.017 7.588 1.549
-0.312 5.380 3.496
-0.080 -0.036 4.459
-0.713 0.628 6.952
-0.153 -2.005 6.248
0.871 5.180 1.073
-0.675 -1.389 8.861
0.612 3.044 2.900
-0.765 4.081 7.904
3.179 0.548 0.973
1.802 1.585 5.977
3.090 6.018 0.016
1.543 -0.551 7.803
2.567 6.634 2.629
3.128 4.001 1.925
2.495 4.665 4.418
2.726 -0.751 5.381
2.431 -2.959 7.328
3.319 1.695 3.466
```

Values from the calculation:
Its total magnetization is 10.00 Bohr magnetons per cell. Its space-group type is P-1. As for the formation energy from the elements: -47.83 eV per formula unit. The value obtained for the distance to the lowest polymorph of the same formula is 3 meV per atom.

=====

No. 7
## Li2FeNi3O8 (GGA+U)

Data for crystalline Li2FeNi3O8 at its relaxed geometry.

```
Li2FeNi3O8
1.0
5.685 0.000 0.000
-2.843 4.924 0.000
0.000 0.000 9.096
Li Fe Ni O
4 2 6 16
Cartesian
0.000 0.000 0.000
0.000 0.000 4.548
0.000 3.282 3.625
2.843 1.641 8.172
0.000 3.282 9.052
2.843 1.641 4.504
0.000 1.676 6.526
-1.391 4.086 6.526
1.452 0.838 1.978
1.391 4.086 6.526
4.234 0.838 1.978
2.843 3.247 1.978
0.000 0.000 2.805
0.000 0.000 7.353
-1.240 2.566 7.738
0.000 1.654 0.873
-1.411 4.097 0.873
0.000 3.282 5.600
1.432 0.827 5.421
1.240 2.566 7.738
0.000 4.715 7.738
2.843 0.209 3.190
1.602 2.357 3.190
1.411 4.097 0.873
2.843 1.641 1.052
4.253 0.827 5.421
2.843 3.270 5.421
4.083 2.357 3.190
```

Values from the calculation:
Its total magnetization is 12.00 Bohr magnetons per cell. Its space-group type is P6_3mc. As for the formation energy from the elements: -17.66 eV per formula unit. The value obtained for the distance to the lowest polymorph of the same formula is 64 meV per atom.

=====

No. 8
## ZnFe2O4 (GGA+U)

Data for crystalline ZnFe2O4 at its relaxed geometry.

```
ZnFe2O4
1.0
6.066 0.000 0.000
-3.033 5.253 0.000
0.000 0.000 14.854
Zn Fe O
6 12 24
Cartesian
0.000 0.000 0.000
0.000 0.000 3.631
0.000 0.000 9.242
0.000 3.502 4.282
0.000 3.502 13.590
3.033 1.751 8.595
-1.498 2.637 1.839
0.000 1.722 6.785
-1.542 4.392 6.785
0.000 3.502 9.891
1.527 0.881 11.742
1.498 2.637 1.839
0.000 5.232 1.839
3.033 1.751 4.970
3.033 1.751 14.239
1.542 4.392 6.785
4.539 0.881 11.742
3.033 3.490 11.742
0.000 0.000 5.665
0.000 0.000 12.796
-1.445 2.668 5.627
0.000 1.686 10.576
-1.573 4.410 10.576
0.000 1.865 2.944
-1.418 4.321 2.944
1.413 0.816 7.908
0.000 3.502 0.719
0.000 3.502 7.925
1.652 0.954 0.638
1.445 2.668 5.627
0.000 5.171 5.627
3.033 0.150 12.913
1.646 2.552 12.913
1.418 4.321 2.944
3.033 1.751 3.004
3.033 1.751 10.632
1.573 4.410 10.576
4.414 0.954 0.638
3.033 3.345 0.638
4.653 0.816 7.908
3.033 3.622 7.908
4.420 2.552 12.913
```

Values from the calculation:
Its total magnetization is 60.00 Bohr magnetons per cell. Its space-group type is P3m1. As for the formation energy from the elements: -11.91 eV per formula unit. The value obtained for the distance to the lowest polymorph of the same formula is 44 meV per atom.

=====

Question: formation energy from the elements of number 1 (Li4Cr3O8)?
Answer: -32.62 eV per formula unit

=====

What did the second record say?
## MgCr3S6O24 (GGA+U)

Data for crystalline MgCr3S6O24 at its relaxed geometry.

```
MgCr3S6O24
1.0
8.408 0.000 0.000
4.204 7.282 0.000
4.204 2.425 7.239
Mg Cr S O
1 3 6 24
Cartesian
0.000 0.000 0.000
4.203 2.424 0.396
8.408 4.851 1.145
12.611 7.278 3.834
5.458 5.195 6.211
7.119 7.582 2.549
10.181 7.233 6.213
6.687 2.368 2.548
9.583 2.122 6.212
11.416 4.600 2.551
5.702 7.036 2.468
5.271 3.742 6.227
3.915 4.068 1.476
6.871 5.542 6.496
7.481 8.075 3.844
2.923 1.350 1.473
9.016 8.122 6.231
6.082 2.434 3.843
8.076 6.481 2.180
6.900 5.375 0.019
9.773 5.835 6.495
5.773 1.851 1.473
7.163 3.747 2.179
8.576 3.173 6.494
10.877 7.223 4.907
7.868 1.412 2.464
9.613 5.895 0.016
13.431 8.807 4.905
9.985 4.322 2.178
8.707 3.286 0.016
10.935 2.687 6.230
11.653 6.101 2.469
11.660 4.040 3.846
13.527 5.803 4.905
```

Values from the calculation:
Its total magnetization is 8.00 Bohr magnetons per cell. Its space-group type is P1. As for the formation energy from the elements: -66.56 eV per formula unit. The value obtained for the distance to the lowest polymorph of the same formula is 72 meV per atom.